[1]
The following is a DFT calculation (GGA-PBE) of a relaxed structure of Cs4ZrO4.

POSCAR file:
```
Cs4ZrO4
1.0
20.239 0.000 0.000
0.000 7.288 0.000
0.000 2.888 6.709
Cs O Zr
16 16 4
Cartesian
11.773 7.050 5.207
5.748 4.155 4.545
0.289 2.326 1.674
14.491 6.021 2.164
1.653 4.569 4.856
10.409 6.406 1.680
16.399 2.266 2.123
4.371 2.711 1.191
19.950 7.850 5.034
18.586 5.606 1.853
8.467 3.126 1.502
15.868 7.465 5.518
3.840 7.910 4.585
9.831 3.770 5.028
6.279 6.466 1.231
13.960 3.710 5.478
12.035 4.300 3.115
8.204 5.876 3.594
18.323 5.743 6.469
11.097 1.928 0.933
16.858 2.834 6.566
13.501 1.390 3.212
13.958 3.419 0.700
0.978 6.804 2.421
1.916 4.432 0.239
16.400 4.862 4.054
3.839 5.313 2.654
3.382 7.342 0.142
6.281 6.757 6.009
6.738 8.786 3.497
19.261 3.371 4.287
9.142 8.248 5.776
12.601 2.719 2.005
7.638 7.457 4.704
17.758 4.162 5.359
2.481 6.013 1.349
```

Properties
The calculation puts the calculated volume at 989.56 Å³ per cell. The crystal system is monoclinic. For the total energy, the calculation gives -5.5202 eV/atom.


[2]
The following is a DFT calculation (GGA-PBE) of a relaxed structure of CsP7.

POSCAR file:
```
CsP7
1.0
9.522 0.000 0.000
0.000 9.786 0.000
0.000 0.000 9.813
P Cs
28 4
Cartesian
8.664 2.446 6.714
3.712 5.778 1.769
0.858 7.339 3.098
5.810 4.008 8.044
1.588 6.215 1.289
7.114 7.339 9.494
4.135 2.446 1.607
5.387 2.446 6.513
7.114 2.446 5.225
5.387 7.339 8.206
1.588 1.322 3.618
5.810 0.885 8.044
7.935 8.464 6.195
3.712 8.901 1.769
8.664 7.339 8.004
7.935 3.571 8.524
3.712 0.885 3.138
4.135 7.339 3.299
3.712 4.008 3.138
1.588 8.464 1.289
5.810 5.778 6.675
2.408 7.339 4.587
7.935 6.215 6.195
5.810 8.901 6.675
2.408 2.446 0.319
7.935 1.322 8.524
0.858 2.446 1.808
1.588 3.571 3.618
2.029 4.893 7.359
2.029 0.000 7.359
7.493 0.000 2.453
7.493 4.893 2.453
```

Properties
The calculation puts the calculated volume at 914.38 Å³ per cell. The crystal system is orthorhombic. For the total energy, the calculation gives -5.0462 eV/atom.


[3]
The following is a DFT calculation (GGA-PBE) of a relaxed structure of Cs2P3.

POSCAR file:
```
Cs2P3
1.0
-1.658 -2.903 8.570
-7.361 -2.608 4.554
-0.277 -6.949 0.605
P Cs
6 4
Cartesian
-3.446 -4.104 8.787
-5.850 -8.356 4.942
-7.085 -8.153 6.711
-1.519 -6.745 2.383
-7.777 -5.715 11.345
-2.211 -4.307 7.017
-3.464 -7.811 7.873
-5.832 -4.649 5.856
-6.972 -9.345 10.296
-2.324 -3.115 3.432
```

Properties
The calculation puts the calculated volume at 373.04 Å³ per cell. The crystal system is orthorhombic. For the total energy, the calculation gives -4.0667 eV/atom.


[4]
The following is a DFT calculation (GGA-PBE) of a relaxed structure of CsP7.

POSCAR file:
```
CsP7
1.0
-2.588 6.369 -6.698
0.690 -6.931 -6.856
-9.517 -2.362 1.430
P Cs
28 4
Cartesian
-3.722 -1.601 -5.710
-7.495 0.086 -6.199
-9.977 2.610 -5.865
-3.216 -1.140 -1.394
-9.886 1.399 -4.007
-7.348 -4.777 -9.830
-7.331 -1.518 -7.767
-7.022 3.524 -4.275
-8.323 -0.531 -9.490
-2.119 -4.754 -9.327
-8.723 4.354 -5.295
-9.501 -2.106 -10.549
-10.797 -0.964 -7.084
-8.555 1.680 -7.315
-1.787 -2.085 -2.828
-0.962 1.499 -1.618
-3.035 -3.829 -3.417
-1.734 0.045 -0.236
-4.270 0.469 -2.502
-3.733 -4.875 -7.771
-8.951 -1.624 -6.213
-9.357 -3.927 -9.295
-1.561 -4.281 -5.019
-4.736 -2.989 -4.427
-10.024 0.480 -8.476
-1.872 -0.862 -4.674
-1.715 -2.448 -6.262
-2.733 -5.871 -6.062
-7.722 -1.742 -2.587
-3.683 -1.270 -9.623
-4.078 2.183 -6.188
-7.327 -5.195 -6.023
```

Properties
The calculation puts the calculated volume at 929.52 Å³ per cell. The crystal system is orthorhombic. For the total energy, the calculation gives -5.0461 eV/atom. The magnetization is 0.0 μB per formula unit.


[5]
The following is a DFT calculation (GGA-PBE) of a relaxed structure of CsPPbS4.

POSCAR file:
```
CsPPbS4
1.0
6.510 0.000 0.000
0.000 6.893 0.000
0.000 0.000 18.412
S Cs Pb P
16 4 4 4
Cartesian
5.809 6.830 11.325
5.809 3.509 11.325
3.955 3.509 2.119
5.528 5.170 18.101
2.946 5.170 12.019
0.309 5.170 2.813
4.237 5.170 8.895
3.564 1.723 6.393
0.700 3.384 7.087
0.982 1.723 0.311
2.554 0.062 16.293
3.955 6.830 2.119
2.273 1.723 9.517
2.554 3.384 16.293
0.700 0.062 7.087
6.201 1.723 15.599
0.409 1.723 3.766
2.846 1.723 12.972
3.664 5.170 5.440
6.101 5.170 14.646
5.134 1.723 8.917
1.376 5.170 9.495
4.631 1.723 18.123
1.879 5.170 0.289
1.413 1.723 16.704
1.842 1.723 7.498
4.667 5.170 10.914
5.097 5.170 1.708
```

Properties
The calculation puts the calculated volume at 826.15 Å³ per cell. The crystal system is orthorhombic. For the total energy, the calculation gives -4.4882 eV/atom.


[6]
The following is a DFT calculation (GGA-PBE) of a relaxed structure of CsPPbSe4.

POSCAR file:
```
CsPPbSe4
1.0
-3.065 5.110 -3.217
-6.396 -3.194 1.019
-1.957 9.149 16.396
Se Pb P Cs
16 4 4 4
Cartesian
-5.504 11.480 14.233
-3.058 5.509 10.871
-5.236 6.977 14.683
-5.194 3.963 5.503
-8.360 5.556 3.327
-3.271 2.921 1.422
-3.048 8.688 8.189
-6.224 7.102 8.695
-5.913 -0.415 -0.035
-8.369 2.377 6.009
-6.270 3.123 8.816
-8.146 8.144 12.776
-3.006 5.674 -0.991
-6.181 4.088 -0.485
-8.411 5.391 15.189
-5.147 7.942 5.382
-2.277 0.440 -0.122
-7.915 5.640 6.381
-9.140 10.625 14.320
-3.502 5.425 7.817
-6.258 2.427 6.710
-7.433 7.329 14.702
-5.159 8.638 7.488
-3.984 3.736 -0.504
-5.084 6.735 1.993
-6.333 4.331 12.205
-4.834 9.261 11.481
-6.583 1.804 2.717
```

Properties
The calculation puts the calculated volume at 923.15 Å³ per cell. The crystal system is orthorhombic. For the total energy, the calculation gives -3.9930 eV/atom. The magnetization is 0.0 μB per formula unit.


[7]
The following is a DFT calculation (GGA-PBE) of a relaxed structure of Cs2P2Pd.

POSCAR file:
```
Cs2P2Pd
1.0
-7.059 0.889 -4.276
1.808 -5.049 6.336
-1.910 4.427 4.073
Cs P Pd
4 4 2
Cartesian
-4.796 1.734 3.201
-1.493 -0.478 7.154
-5.668 0.744 -1.022
-2.365 -1.468 2.931
-4.981 -0.785 5.853
-2.180 1.052 0.280
-5.796 -1.813 1.698
-1.365 2.080 4.434
0.000 0.000 0.000
-0.955 2.214 2.036
```

Properties
The calculation puts the calculated volume at 332.86 Å³ per cell. The crystal system is orthorhombic. For the total energy, the calculation gives -4.0734 eV/atom.


[8]
The following is a DFT calculation (GGA-PBE) of a relaxed structure of Cs10P4PdSe16.

POSCAR file:
```
Cs10P4PdSe16
1.0
0.000 0.000 11.948
14.275 0.000 0.000
0.000 14.275 0.000
Se Cs P Pd
32 20 8 2
Cartesian
14.262 2.548 1.172
9.572 7.140 10.792
12.598 5.304 3.007
2.156 8.978 8.966
4.704 7.140 7.130
7.140 4.704 1.156
7.136 9.572 1.156
1.678 5.304 2.967
5.304 12.598 8.981
8.971 1.678 8.981
11.727 14.262 10.776
8.978 12.119 2.982
5.297 2.156 2.982
0.013 11.727 1.172
2.156 5.297 8.956
11.727 0.013 7.146
7.136 4.704 4.818
2.548 14.262 7.146
5.297 12.119 2.992
2.548 0.013 10.776
14.262 11.727 4.802
12.598 8.971 2.967
1.678 8.971 3.007
9.572 7.136 7.130
5.304 1.678 8.942
8.978 2.156 2.992
4.704 7.136 10.792
12.119 8.978 8.956
0.013 2.548 4.802
8.971 12.598 8.942
7.140 9.572 4.818
12.119 5.297 8.966
10.571 10.591 11.927
5.047 7.138 2.987
3.684 3.704 5.953
10.591 3.704 0.022
3.704 10.591 5.996
7.138 0.000 0.624
7.138 0.000 5.350
7.138 5.047 8.961
12.013 0.000 2.987
0.000 2.262 8.961
3.704 3.684 11.927
10.571 3.684 5.996
9.228 7.138 2.987
7.138 9.228 8.961
0.000 7.138 6.598
0.000 7.138 11.324
10.591 10.571 5.953
0.000 12.013 8.961
3.684 10.571 0.022
2.262 0.000 2.987
3.764 0.000 8.961
10.831 7.138 8.961
10.511 0.000 8.961
7.138 10.831 2.987
3.444 7.138 8.961
7.138 3.444 2.987
0.000 3.764 2.987
0.000 10.511 2.987
0.000 7.138 2.987
7.138 0.000 8.961
```

Properties
The calculation puts the calculated volume at 2434.86 Å³ per cell. The crystal system is tetragonal. For the total energy, the calculation gives -3.7898 eV/atom. The magnetization is 0.0 μB per formula unit.


| no. | energy of formation (meV/atom) |
| --- | --- |
| 1 | -2279 |
| 2 | -198 |
| 3 | -461 |
| 4 | -198 |
| 5 | -980 |
| 6 | -833 |
| 7 | -514 |
| 8 | -1075 |